First-principles (meta-GGA r2SCAN) data for Rb2CO3 after structural relaxation, as listed in the Materials Project database.

abc: 5.859 10.028 7.407
angles: 90.00 98.43 90.00
Sites, in units of the cell vectors:
Rb (0.238, 0.225, 0.475)
Rb (0.238, 0.275, 0.975)
Rb (0.259, 0.582, 0.311)
Rb (0.259, 0.918, 0.811)
Rb (0.741, 0.082, 0.189)
Rb (0.741, 0.418, 0.689)
Rb (0.762, 0.725, 0.025)
Rb (0.762, 0.775, 0.525)
C (0.251, 0.582, 0.739)
C (0.251, 0.918, 0.239)
C (0.749, 0.082, 0.761)
C (0.749, 0.418, 0.261)
O (0.088, 0.633, 0.817)
O (0.088, 0.867, 0.317)
O (0.237, 0.041, 0.182)
O (0.237, 0.459, 0.682)
O (0.430, 0.653, 0.714)
O (0.430, 0.847, 0.214)
O (0.570, 0.153, 0.786)
O (0.570, 0.347, 0.286)
O (0.763, 0.541, 0.318)
O (0.763, 0.959, 0.818)
O (0.912, 0.133, 0.683)
O (0.912, 0.367, 0.183)

Electronic total energy, eV/atom: -11.16
M_tot, μB per cell: 0.00
Formation energy, kJ per mole of atoms: -180.6
Crystal system: monoclinic

***

First-principles (meta-GGA r2SCAN) data for RbCO2 after structural relaxation, as listed in the Materials Project database.

abc: 6.296 11.296 3.593
angles: 90.00 90.00 90.00
Sites, in units of the cell vectors:
Rb (0.095, 0.151, 0.000)
Rb (0.405, 0.651, 0.000)
Rb (0.595, 0.349, 0.000)
Rb (0.905, 0.849, 0.000)
C (0.068, 0.441, 0.500)
C (0.432, 0.941, 0.500)
C (0.568, 0.059, 0.500)
C (0.932, 0.559, 0.500)
O (0.033, 0.655, 0.500)
O (0.233, 0.952, 0.500)
O (0.267, 0.452, 0.500)
O (0.467, 0.155, 0.500)
O (0.533, 0.845, 0.500)
O (0.733, 0.548, 0.500)
O (0.767, 0.048, 0.500)
O (0.967, 0.345, 0.500)

Electronic total energy, eV/atom: -10.60
M_tot, μB per cell: 0.00
Formation energy, kJ per mole of atoms: -158.7
Crystal system: orthorhombic

***

First-principles (meta-GGA r2SCAN) data for UCO5 after structural relaxation, as listed in the Materials Project database.

abc: 4.848 9.144 4.288
angles: 90.00 90.00 90.00
Sites, in units of the cell vectors:
U (0.250, 0.250, 0.246)
U (0.750, 0.750, 0.754)
C (0.250, 0.750, 0.139)
C (0.750, 0.250, 0.861)
O (0.014, 0.750, 0.269)
O (0.250, 0.056, 0.241)
O (0.250, 0.444, 0.241)
O (0.250, 0.750, 0.836)
O (0.486, 0.750, 0.269)
O (0.514, 0.250, 0.731)
O (0.750, 0.250, 0.164)
O (0.750, 0.556, 0.759)
O (0.750, 0.944, 0.759)
O (0.986, 0.250, 0.731)

Electronic total energy, eV/atom: -19.59
M_tot, μB per cell: 0.00
Formation energy, kJ per mole of atoms: -239.6
Crystal system: orthorhombic

***

First-principles (meta-GGA r2SCAN) data for UCO5 after structural relaxation, as listed in the Materials Project database.

abc: 5.591 5.591 5.591
angles: 128.60 70.75 134.89
Sites, in units of the cell vectors:
U (0.000, 0.000, 0.000)
C (0.386, 0.886, 0.500)
O (0.084, 0.584, 0.500)
O (0.198, 0.003, 0.195)
O (0.516, 0.253, 0.737)
O (0.516, 0.779, 0.263)
O (0.808, 0.003, 0.805)

Electronic total energy, eV/atom: -19.59
M_tot, μB per cell: 0.00
Formation energy, kJ per mole of atoms: -239.6
Crystal system: orthorhombic

***

First-principles (meta-GGA r2SCAN) data for Pr12Os5C15 after structural relaxation, as listed in the Materials Project database.

abc: 11.032 11.032 5.396
angles: 90.00 90.00 120.00
Sites, in units of the cell vectors:
Pr (0.000, 0.427, 0.000)
Pr (0.000, 0.793, 0.000)
Pr (0.185, 0.727, 0.500)
Pr (0.207, 0.207, 0.000)
Pr (0.273, 0.458, 0.500)
Pr (0.427, 0.000, 0.000)
Pr (0.458, 0.273, 0.500)
Pr (0.542, 0.815, 0.500)
Pr (0.573, 0.573, 0.000)
Pr (0.727, 0.185, 0.500)
Pr (0.793, 0.000, 0.000)
Pr (0.815, 0.542, 0.500)
Os (0.000, 0.161, 0.500)
Os (0.161, 0.000, 0.500)
Os (0.333, 0.667, 0.000)
Os (0.667, 0.333, 0.000)
Os (0.839, 0.839, 0.500)
C (0.000, 0.330, 0.500)
C (0.000, 0.451, 0.500)
C (0.000, 0.802, 0.500)
C (0.187, 0.711, 0.000)
C (0.198, 0.198, 0.500)
C (0.289, 0.476, 0.000)
C (0.330, 0.000, 0.500)
C (0.451, 0.000, 0.500)
C (0.476, 0.289, 0.000)
C (0.524, 0.813, 0.000)
C (0.549, 0.549, 0.500)
C (0.670, 0.670, 0.500)
C (0.711, 0.187, 0.000)
C (0.802, 0.000, 0.500)
C (0.813, 0.524, 0.000)

Electronic total energy, eV/atom: -24.32
M_tot, μB per cell: 0.00
Formation energy, kJ per mole of atoms: -34.3
Crystal system: hexagonal

***

First-principles (meta-GGA r2SCAN) data for Sm12Os5C15 after structural relaxation, as listed in the Materials Project database.

abc: 10.856 10.856 5.238
angles: 90.00 90.00 120.00
Sites, in units of the cell vectors:
Sm (0.000, 0.431, 0.000)
Sm (0.000, 0.794, 0.000)
Sm (0.184, 0.727, 0.500)
Sm (0.206, 0.206, 0.000)
Sm (0.273, 0.457, 0.500)
Sm (0.431, 0.000, 0.000)
Sm (0.457, 0.273, 0.500)
Sm (0.543, 0.816, 0.500)
Sm (0.569, 0.569, 0.000)
Sm (0.727, 0.184, 0.500)
Sm (0.794, 0.000, 0.000)
Sm (0.816, 0.543, 0.500)
Os (0.000, 0.161, 0.500)
Os (0.161, 0.000, 0.500)
Os (0.333, 0.667, 0.000)
Os (0.667, 0.333, 0.000)
Os (0.839, 0.839, 0.500)
C (0.000, 0.333, 0.500)
C (0.000, 0.456, 0.500)
C (0.000, 0.797, 0.500)
C (0.186, 0.714, 0.000)
C (0.203, 0.203, 0.500)
C (0.286, 0.472, 0.000)
C (0.333, 0.000, 0.500)
C (0.456, 0.000, 0.500)
C (0.472, 0.286, 0.000)
C (0.528, 0.814, 0.000)
C (0.544, 0.544, 0.500)
C (0.667, 0.667, 0.500)
C (0.714, 0.186, 0.000)
C (0.797, 0.000, 0.500)
C (0.814, 0.528, 0.000)

Electronic total energy, eV/atom: -24.53
M_tot, μB per cell: 0.00
Formation energy, kJ per mole of atoms: -41.8
Crystal system: hexagonal

***

First-principles (meta-GGA r2SCAN) data for U2OsC2 after structural relaxation, as listed in the Materials Project database.

abc: 6.802 6.802 6.802
angles: 150.75 150.75 41.84
Sites, in units of the cell vectors:
U (0.146, 0.146, 0.000)
U (0.854, 0.854, 0.000)
Os (0.500, 0.500, 0.000)
C (0.329, 0.329, 0.000)
C (0.671, 0.671, 0.000)

Electronic total energy, eV/atom: -46.88
M_tot, μB per cell: 1.86
Formation energy, kJ per mole of atoms: -31.7
Crystal system: tetragonal

***

First-principles (meta-GGA r2SCAN) data for V3PC after structural relaxation, as listed in the Materials Project database.

abc: 5.056 5.056 7.491
angles: 90.00 90.00 144.12
Sites, in units of the cell vectors:
V (0.064, 0.936, 0.750)
V (0.365, 0.635, 0.555)
V (0.365, 0.635, 0.945)
V (0.635, 0.365, 0.055)
V (0.635, 0.365, 0.445)
V (0.936, 0.064, 0.250)
P (0.254, 0.746, 0.250)
P (0.746, 0.254, 0.750)
C (0.000, 0.000, 0.000)
C (0.000, 0.000, 0.500)

Electronic total energy, eV/atom: -13.01
M_tot, μB per cell: 0.00
Formation energy, kJ per mole of atoms: -74.0
Crystal system: orthorhombic